[1]
# TlCdF3 (meta-GGA r2SCAN, optimized geometry)
# **Calculated volume**: 172.5 Å³ per cell
# **Energy of formation**: -2221 meV per atom
# **Total magnetic moment**: 0.00 μB/cell
data_TlCdF3
_cell_length_a 6.247
_cell_length_b 6.250
_cell_length_c 4.419
_cell_angle_alpha 90.00
_cell_angle_beta 90.06
_cell_angle_gamma 90.00
_space_group_name_H-M_alt 'C 1 m 1'
_space_group_IT_number 8
_space_group_name_Hall 'C -2y'
loop_
_atom_site_label
_atom_site_type_symbol
_atom_site_fract_x
_atom_site_fract_y
_atom_site_fract_z
Tl1 Tl 0.000 0.000 0.000
Cd1 Cd 0.006 0.500 0.510
F1 F 0.007 0.500 0.011
F2 F 0.259 0.253 0.515

---

[2]
# EuTlHg2 (meta-GGA r2SCAN, optimized geometry)
# **Calculated volume**: 427.1 Å³ per cell
# **Energy of formation**: -426 meV per atom
# **Total magnetic moment**: 28.41 μB/cell
data_EuTlHg2
_cell_length_a 7.531
_cell_length_b 7.531
_cell_length_c 7.531
_cell_angle_alpha 90.00
_cell_angle_beta 90.00
_cell_angle_gamma 90.00
_space_group_name_H-M_alt 'F m -3 m'
_space_group_IT_number 225
_space_group_name_Hall '-F 4 2 3'
loop_
_atom_site_label
_atom_site_type_symbol
_atom_site_fract_x
_atom_site_fract_y
_atom_site_fract_z
Eu1 Eu 0.000 0.000 0.000
Tl1 Tl 0.000 0.000 0.500
Hg1 Hg 0.250 0.250 0.250

---

[3]
# TaZn2N3 (meta-GGA r2SCAN, optimized geometry)
# **Calculated volume**: 303.8 Å³ per cell
# **Energy of formation**: -705 meV per atom
# **Total magnetic moment**: 0.00 μB/cell
data_TaZn2N3
_cell_length_a 9.812
_cell_length_b 5.741
_cell_length_c 5.393
_cell_angle_alpha 90.00
_cell_angle_beta 90.00
_cell_angle_gamma 90.00
_space_group_name_H-M_alt 'C m c 21'
_space_group_IT_number 36
_space_group_name_Hall 'C 2c -2'
loop_
_atom_site_label
_atom_site_type_symbol
_atom_site_fract_x
_atom_site_fract_y
_atom_site_fract_z
Ta1 Ta 0.000 0.170 0.000
Zn1 Zn 0.172 0.338 0.490
N1 N 0.000 0.154 0.632
N2 N 0.160 0.330 0.113

---

[4]
# LaY3 (meta-GGA r2SCAN, optimized geometry)
# **Calculated volume**: 138.3 Å³ per cell
# **Energy of formation**: 78 meV per atom
# **Total magnetic moment**: 0.51 μB/cell
data_LaY3
_cell_length_a 5.172
_cell_length_b 5.172
_cell_length_c 5.172
_cell_angle_alpha 90.00
_cell_angle_beta 90.00
_cell_angle_gamma 90.00
_space_group_name_H-M_alt 'P m -3 m'
_space_group_IT_number 221
_space_group_name_Hall '-P 4 2 3'
loop_
_atom_site_label
_atom_site_type_symbol
_atom_site_fract_x
_atom_site_fract_y
_atom_site_fract_z
La1 La 0.000 0.000 0.000
Y1 Y 0.000 0.500 0.500